# 1
LaP | meta-GGA r2SCAN | optimized geometry

Its space-group type is Fm-3m, No. 225. The uncorrected energy comes out at -21.19 eV per atom. Its formation energy is -1.816 eV per atom.

Cell: 4.290 4.290 4.290 Å, 60.00 60.00 60.00°
Positions (direct):
La  0.000  0.000  0.000
P  0.500  0.500  0.500

---

# 2
La6P17Pd6 | meta-GGA r2SCAN | optimized geometry

Its space-group type is I-43m, No. 217. The uncorrected energy comes out at -17.22 eV per atom. Its formation energy is -1.037 eV per atom.

Cell: 9.067 9.067 9.067 Å, 109.47 109.47 109.47°
Positions (direct):
La  0.000  0.286  0.286
La  0.000  0.714  0.714
La  0.286  0.000  0.286
La  0.286  0.286  0.000
La  0.714  0.000  0.714
La  0.714  0.714  0.000
P  0.000  0.000  0.000
P  0.000  0.000  0.563
P  0.000  0.363  0.780
P  0.000  0.563  0.000
P  0.000  0.780  0.363
P  0.220  0.220  0.582
P  0.220  0.582  0.220
P  0.363  0.000  0.780
P  0.363  0.780  0.000
P  0.418  0.637  0.637
P  0.437  0.437  0.437
P  0.563  0.000  0.000
P  0.582  0.220  0.220
P  0.637  0.418  0.637
P  0.637  0.637  0.418
P  0.780  0.000  0.363
P  0.780  0.363  0.000
Pd  0.250  0.500  0.750
Pd  0.250  0.750  0.500
Pd  0.500  0.250  0.750
Pd  0.500  0.750  0.250
Pd  0.750  0.250  0.500
Pd  0.750  0.500  0.250

---

# 3
La3P6Pd20 | meta-GGA r2SCAN | optimized geometry

Its space-group type is Fm-3m, No. 225. The uncorrected energy comes out at -21.51 eV per atom. Its formation energy is -0.731 eV per atom.

Cell: 8.728 8.728 8.728 Å, 60.00 60.00 60.00°
Positions (direct):
La  0.000  0.000  0.000
La  0.250  0.250  0.250
La  0.750  0.750  0.750
P  0.264  0.264  0.736
P  0.264  0.736  0.264
P  0.264  0.736  0.736
P  0.736  0.264  0.264
P  0.736  0.264  0.736
P  0.736  0.736  0.264
Pd  0.000  0.000  0.347
Pd  0.000  0.000  0.653
Pd  0.000  0.347  0.000
Pd  0.000  0.347  0.653
Pd  0.000  0.653  0.000
Pd  0.000  0.653  0.347
Pd  0.159  0.614  0.614
Pd  0.347  0.000  0.000
Pd  0.347  0.000  0.653
Pd  0.347  0.653  0.000
Pd  0.386  0.386  0.386
Pd  0.386  0.386  0.841
Pd  0.386  0.841  0.386
Pd  0.614  0.159  0.614
Pd  0.614  0.614  0.159
Pd  0.614  0.614  0.614
Pd  0.653  0.000  0.000
Pd  0.653  0.000  0.347
Pd  0.653  0.347  0.000
Pd  0.841  0.386  0.386

---

# 4
La4P9Rh8 | meta-GGA r2SCAN | optimized geometry

Its space-group type is Cmcm, No. 63. The uncorrected energy comes out at -19.93 eV per atom. Its formation energy is -1.208 eV per atom.

Cell: 11.531 11.531 5.793 Å, 90.00 90.00 111.02°
Positions (direct):
La  0.112  0.888  0.750
La  0.139  0.410  0.750
La  0.360  0.640  0.250
La  0.410  0.139  0.250
La  0.590  0.861  0.750
La  0.640  0.360  0.750
La  0.861  0.590  0.250
La  0.888  0.112  0.250
P  0.016  0.143  0.750
P  0.117  0.635  0.002
P  0.117  0.635  0.498
P  0.143  0.016  0.250
P  0.212  0.353  0.250
P  0.353  0.212  0.750
P  0.365  0.883  0.002
P  0.365  0.883  0.498
P  0.427  0.573  0.750
P  0.573  0.427  0.250
P  0.635  0.117  0.502
P  0.635  0.117  0.998
P  0.647  0.788  0.250
P  0.788  0.647  0.750
P  0.857  0.984  0.750
P  0.883  0.365  0.502
P  0.883  0.365  0.998
P  0.984  0.857  0.250
Rh  0.060  0.454  0.250
Rh  0.181  0.181  0.000
Rh  0.181  0.181  0.500
Rh  0.184  0.816  0.250
Rh  0.291  0.709  0.750
Rh  0.394  0.394  0.000
Rh  0.394  0.394  0.500
Rh  0.454  0.060  0.750
Rh  0.546  0.940  0.250
Rh  0.606  0.606  0.000
Rh  0.606  0.606  0.500
Rh  0.709  0.291  0.250
Rh  0.816  0.184  0.750
Rh  0.819  0.819  0.000
Rh  0.819  0.819  0.500
Rh  0.940  0.546  0.750

---

# 5
LaP2Rh2 | meta-GGA r2SCAN | optimized geometry

Its space-group type is P4/nmm, No. 129. The uncorrected energy comes out at -20.43 eV per atom. Its formation energy is -1.225 eV per atom.

Cell: 4.198 4.198 9.616 Å, 90.00 90.00 90.00°
Positions (direct):
La  0.250  0.250  0.243
La  0.750  0.750  0.757
P  0.250  0.250  0.638
P  0.250  0.750  0.000
P  0.750  0.250  0.000
P  0.750  0.750  0.362
Rh  0.250  0.250  0.890
Rh  0.250  0.750  0.500
Rh  0.750  0.250  0.500
Rh  0.750  0.750  0.110

---

# 6
LaPRh | meta-GGA r2SCAN | optimized geometry

Its space-group type is I4_1md, No. 109. The uncorrected energy comes out at -22.36 eV per atom. Its formation energy is -1.398 eV per atom.

Cell: 7.757 7.757 7.757 Å, 149.05 149.05 44.34°
Positions (direct):
La  0.000  0.000  0.000
La  0.750  0.250  0.500
P  0.330  0.830  0.500
P  0.580  0.580  0.000
Rh  0.163  0.663  0.500
Rh  0.413  0.413  0.000

---

# 7
LaP2Ru2 | meta-GGA r2SCAN | optimized geometry

Its space-group type is I4/mmm, No. 139. The uncorrected energy comes out at -20.87 eV per atom. Its formation energy is -1.147 eV per atom.

Cell: 6.171 6.171 6.171 Å, 141.93 141.93 54.93°
Positions (direct):
La  0.000  0.000  0.000
P  0.355  0.355  0.000
P  0.645  0.645  0.000
Ru  0.250  0.750  0.500
Ru  0.750  0.250  0.500

---

# 8
LaPS | meta-GGA r2SCAN | optimized geometry

Its space-group type is Pnma, No. 62. The uncorrected energy comes out at -17.48 eV per atom. Its formation energy is -1.890 eV per atom.

Cell: 5.733 5.632 17.330 Å, 90.00 90.00 90.00°
Positions (direct):
La  0.016  0.250  0.138
La  0.017  0.750  0.350
La  0.483  0.250  0.850
La  0.484  0.750  0.638
La  0.516  0.250  0.362
La  0.517  0.750  0.150
La  0.983  0.250  0.650
La  0.984  0.750  0.862
P  0.187  0.050  0.503
P  0.187  0.450  0.503
P  0.313  0.550  0.003
P  0.313  0.950  0.003
P  0.687  0.050  0.997
P  0.687  0.450  0.997
P  0.813  0.550  0.497
P  0.813  0.950  0.497
S  0.013  0.750  0.180
S  0.014  0.250  0.311
S  0.486  0.750  0.811
S  0.487  0.250  0.680
S  0.513  0.750  0.320
S  0.514  0.250  0.189
S  0.986  0.750  0.689
S  0.987  0.250  0.820

---

# 9
LaPS4 | meta-GGA r2SCAN | optimized geometry

Its space-group type is I4_1/acd, No. 142. The uncorrected energy comes out at -13.14 eV per atom. Its formation energy is -1.323 eV per atom.

Cell: 12.549 12.549 12.549 Å, 127.48 127.48 77.47°
Positions (direct):
La  0.125  0.375  0.750
La  0.125  0.875  0.250
La  0.375  0.125  0.250
La  0.375  0.625  0.750
La  0.625  0.375  0.250
La  0.625  0.875  0.750
La  0.875  0.125  0.750
La  0.875  0.625  0.250
P  0.214  0.250  0.464
P  0.250  0.286  0.036
P  0.250  0.786  0.536
P  0.286  0.750  0.036
P  0.714  0.250  0.964
P  0.750  0.214  0.464
P  0.750  0.714  0.964
P  0.786  0.750  0.536
S  0.095  0.884  0.482
S  0.097  0.666  0.934
S  0.098  0.388  0.982
S  0.112  0.402  0.518
S  0.116  0.098  0.210
S  0.163  0.097  0.931
S  0.166  0.597  0.434
S  0.232  0.163  0.566
S  0.268  0.834  0.931
S  0.334  0.768  0.431
S  0.337  0.268  0.934
S  0.384  0.595  0.982
S  0.388  0.905  0.290
S  0.402  0.384  0.290
S  0.403  0.337  0.569
S  0.405  0.888  0.790
S  0.595  0.112  0.210
S  0.597  0.663  0.431
S  0.598  0.616  0.710
S  0.612  0.095  0.710
S  0.616  0.405  0.018
S  0.663  0.732  0.066
S  0.666  0.232  0.569
S  0.732  0.166  0.069
S  0.768  0.837  0.434
S  0.834  0.403  0.566
S  0.837  0.903  0.069
S  0.884  0.902  0.790
S  0.888  0.598  0.482
S  0.902  0.612  0.018
S  0.903  0.334  0.066
S  0.905  0.116  0.518

---

# 10
LaSiP3 | meta-GGA r2SCAN | optimized geometry

Its space-group type is Pna2_1, No. 33. The uncorrected energy comes out at -13.97 eV per atom. Its formation energy is -0.862 eV per atom.

Cell: 5.984 25.539 5.783 Å, 90.00 90.00 90.00°
Positions (direct):
La  0.022  0.090  0.000
La  0.022  0.400  0.499
La  0.478  0.590  0.500
La  0.478  0.900  0.999
La  0.522  0.100  0.499
La  0.522  0.410  0.000
La  0.978  0.600  0.999
La  0.978  0.910  0.500
Si  0.058  0.794  0.080
Si  0.112  0.290  0.077
Si  0.388  0.790  0.577
Si  0.442  0.294  0.580
Si  0.558  0.706  0.080
Si  0.612  0.210  0.077
Si  0.888  0.710  0.577
Si  0.942  0.206  0.580
P  0.014  0.371  0.997
P  0.025  0.125  0.498
P  0.032  0.787  0.467
P  0.090  0.282  0.464
P  0.179  0.502  0.199
P  0.181  0.502  0.805
P  0.319  0.002  0.305
P  0.321  0.002  0.699
P  0.410  0.782  0.964
P  0.468  0.287  0.967
P  0.475  0.625  0.998
P  0.486  0.871  0.497
P  0.514  0.129  0.997
P  0.525  0.375  0.498
P  0.532  0.713  0.467
P  0.590  0.218  0.464
P  0.679  0.998  0.199
P  0.681  0.998  0.805
P  0.819  0.498  0.305
P  0.821  0.498  0.699
P  0.910  0.718  0.964
P  0.968  0.213  0.967
P  0.975  0.875  0.998
P  0.986  0.629  0.497

---

# 11
LaZn3P3 | meta-GGA r2SCAN | optimized geometry

Its space-group type is P6_3/mmc, No. 194. The uncorrected energy comes out at -12.66 eV per atom. Its formation energy is -0.738 eV per atom.

Cell: 4.049 4.049 20.184 Å, 90.00 90.00 120.00°
Positions (direct):
La  0.000  0.000  0.000
La  0.000  0.000  0.500
Zn  0.333  0.667  0.131
Zn  0.333  0.667  0.369
Zn  0.333  0.667  0.750
Zn  0.667  0.333  0.250
Zn  0.667  0.333  0.631
Zn  0.667  0.333  0.869
P  0.333  0.667  0.250
P  0.333  0.667  0.590
P  0.333  0.667  0.910
P  0.667  0.333  0.090
P  0.667  0.333  0.410
P  0.667  0.333  0.750

---

# 12
La5Pb3 | meta-GGA r2SCAN | optimized geometry

Its space-group type is P6_3/mcm, No. 193. The uncorrected energy comes out at -40.44 eV per atom. Its formation energy is -0.747 eV per atom.

Cell: 9.590 9.590 7.140 Å, 90.00 90.00 120.00°
Positions (direct):
La  0.000  0.244  0.250
La  0.000  0.756  0.750
La  0.244  0.000  0.250
La  0.244  0.244  0.750
La  0.333  0.667  0.000
La  0.333  0.667  0.500
La  0.667  0.333  0.000
La  0.667  0.333  0.500
La  0.756  0.000  0.750
La  0.756  0.756  0.250
Pb  0.000  0.393  0.750
Pb  0.000  0.607  0.250
Pb  0.393  0.000  0.750
Pb  0.393  0.393  0.250
Pb  0.607  0.000  0.250
Pb  0.607  0.607  0.750